(1)
## Ca2Ni10H (PBE-GGA)

Data for a relaxed Ca2Ni10H crystal.

abc: 4.9811 4.9831 7.9142
angles: 90.00 90.00 119.99
Last column: nearest neighbours and their distance in Å.
Atoms (fractional coordinates):
Ni  0.4928  0.9856  0.7458  1 H 1.58
Ni  0.0143  0.5073  0.7458  1 H 1.58
Ni  0.6667  0.3333  0.4992  6 Ni 2.43-2.46, 1 H 2.46
Ni  0.4991  0.9982  0.2525  8 Ni 2.39-2.51
Ni  0.4991  0.5009  0.2525  8 Ni 2.39-2.51
Ni  0.4930  0.5073  0.7458  1 H 1.58
Ni  0.0018  0.5009  0.2525  8 Ni 2.39-2.51
Ni  0.3334  0.6667  0.4967  6 Ni 2.40
Ni  0.3333  0.6667  0.0036  6 Ni 2.43-2.46
Ni  0.6667  0.3333  0.0122  1 H 1.60
Ca  0.0000  0.0000  0.4985  18 Ni 2.88-3.17
Ca  0.0000  0.0000  0.0001  18 Ni 2.88-3.20
H  0.6665  0.3331  0.8102  4 Ni 1.58-1.60

Summary:
SG ... No. 156
Energy of formation from the pure elements ... -1.42 eV/f.u.
Polymorph energy (0 for the lowest one) ... 22 meV/atom

***

(2)
## LaPPt (PBE-GGA)

Data for a relaxed LaPPt crystal.

abc: 4.2496 4.2496 8.1456
angles: 90.00 90.00 120.00
Last column: nearest neighbours and their distance in Å.
Atoms (fractional coordinates):
Pt  0.6667  0.3333  0.2500  3 P 2.45
Pt  0.3333  0.6667  0.7500  3 P 2.45
La  0.0000  0.0000  0.5000  6 Pt 3.19, 6 P 3.19
La  0.0000  0.0000  0.0000  6 P 3.19, 6 Pt 3.19
P  0.3333  0.6667  0.2500  3 Pt 2.45
P  0.6667  0.3333  0.7500  3 Pt 2.45

Summary:
SG ... No. 194
Energy of formation from the pure elements ... -4.17 eV/f.u.

***

| no. | ρ (Mg/m³) | energy (eV/cell) |
| --- | --- | --- |
| 1 | 6.5 | -66.45 |
| 2 | 9.5 | -41.18 |